VASP calculation (meta-GGA r2SCAN) on TbAu2 after structural relaxation.

abc: 3.7358 3.7358 5.2276
angles: 110.94 110.94 90.00
Sites, in units of the cell vectors:
Au1 0.3349 0.3349 0.6698
Au2 0.6651 0.6651 0.3302
Tb1 0.0000 0.0000 0.0000

Calculated volume, Å³ per cell: 63
DFT total energy, eV/atom: -45.081
SG: I4/mmm (139)